Computed, not measured: DyF3 after structural relaxation at the r²SCAN level of DFT.

```
24
Lattice="2.7787 2.9212 -5.3969 -1.5800 -6.5469 -0.1528 -6.3138 1.5797 -2.3957" Properties=species:S:1:pos:R:3 pbc="T T T"
Dy -3.7754 2.1940 -3.6612
Dy 0.2403 2.3069 -4.1314
Dy -5.2812 -1.0770 -1.8495
Dy -3.9508 -1.1883 -5.4292
Dy -1.1643 -0.8576 -2.5162
Dy -2.6126 -3.8902 -0.6989
F -3.8405 1.0578 -5.6092
F -1.8350 2.5028 -5.1388
F -3.1027 -0.0025 -3.4498
F -1.2746 -3.1038 -2.3362
F -3.2801 -4.5488 -2.8066
F 0.4334 0.7789 -2.2153
F -0.6836 0.2679 -4.4113
F 1.6095 0.8428 -5.2729
F -2.0124 -2.0435 -4.4956
F -6.7246 -2.8888 -2.6725
F -5.5525 -0.0944 -3.9189
F 0.4374 -1.9516 -4.0265
F -5.5485 -2.8249 -5.7301
F -3.0625 -1.5853 -1.4258
F -4.4315 -2.3139 -3.5341
F -1.5784 0.3949 -0.5989
F -4.7353 1.1848 -1.7968
F -2.0526 -0.4607 -6.5196
```

Summary:
For the magnetization, the calculation gives 0.00 μB per formula unit. Its formation enthalpy at 0 K is -17.90 eV/f.u.